Arrangement one

# PBE+U LiVF3, optimized geometry
# calculated density = 3.3 g cm⁻³
# maximum piezoelectric response = 1.51 C/m2
# V = 11.70 Å³ per atom
data_LiVF3
_chemical_formula_sum 'Li6 V6 F18'
_cell_length_a 5.3031
_cell_length_b 5.3031
_cell_length_c 14.4088
_cell_angle_alpha 90.00
_cell_angle_beta 90.00
_cell_angle_gamma 120.00
_space_group_name_H-M_alt 'R 3 c'
_space_group_IT_number 161
_space_group_name_Hall 'R 3 -2"c'
loop_
_atom_site_label
_atom_site_type_symbol
_atom_site_fract_x
_atom_site_fract_y
_atom_site_fract_z
Li1 Li 0.0000 0.0000 0.0000
V1 V 0.0000 0.0000 0.2893
F1 F 0.0214 0.3523 0.0481


Arrangement two

# PBE+U LiVF3, optimized geometry
# calculated density = 3.2 g cm⁻³
# total magnetization = 12.002 μB per cell
# V = 11.78 Å³ per atom
data_LiVF3
_chemical_formula_sum 'Li4 V4 F12'
_cell_length_a 6.176
_cell_length_b 6.176
_cell_length_c 6.176
_cell_angle_alpha 90.00
_cell_angle_beta 90.00
_cell_angle_gamma 90.00
_space_group_name_H-M_alt 'P 21 3'
_space_group_IT_number 198
_space_group_name_Hall 'P 2ac 2ab 3'
loop_
_atom_site_label
_atom_site_type_symbol
_atom_site_fract_x
_atom_site_fract_y
_atom_site_fract_z
Li1 Li 0.086 0.086 0.086
V1 V 0.151 0.651 0.849
F1 F 0.015 0.257 0.371


What should be chosen as the least stable of them? Choose arrangement two.